{"formula": "LaZn11", "functional": "PBE", "state": "optimized geometry", "spacegroup": "I4_1/amd, No. 141", "delta_e_f_ev_per_atom": -0.23, "final_energy_ev_per_cell": -43.16, "lattice": [[-5.350, 5.350, 3.443], [5.350, -5.350, 3.443], [5.350, 5.350, -3.443]], "species": ["La", "La", "Zn", "Zn", "Zn", "Zn", "Zn", "Zn", "Zn", "Zn", "Zn", "Zn", "Zn", "Zn", "Zn", "Zn", "Zn", "Zn", "Zn", "Zn", "Zn", "Zn", "Zn", "Zn"], "frac_coords": [[0.375, 0.625, 0.750], [0.625, 0.375, 0.250], [0.000, 0.000, 0.000], [0.000, 0.000, 0.500], [0.000, 0.500, 0.000], [0.125, 0.875, 0.250], [0.134, 0.556, 0.334], [0.134, 0.800, 0.578], [0.200, 0.278, 0.334], [0.200, 0.866, 0.922], [0.278, 0.200, 0.834], [0.278, 0.444, 0.078], [0.444, 0.278, 0.578], [0.444, 0.866, 0.166], [0.500, 0.000, 0.500], [0.556, 0.134, 0.834], [0.556, 0.722, 0.422], [0.722, 0.556, 0.922], [0.722, 0.800, 0.166], [0.800, 0.134, 0.078], [0.800, 0.722, 0.666], [0.866, 0.200, 0.422], [0.866, 0.444, 0.666], [0.875, 0.125, 0.750]]}